Compound: Na3VS2O8F2
Source: the Materials Project database
Functional: r2SCAN
Structure: relaxed

Output
M_tot: 2.00 μB per formula unit
space-group type: Pbcn

Cell: 8.843 13.806 6.594 Å, 90.00 90.00 90.00°
Fractional positions:
Na1 0.000 0.049 0.250
Na2 0.000 0.951 0.750
Na3 0.169 0.403 0.021
Na4 0.169 0.597 0.521
Na5 0.331 0.097 0.521
Na6 0.331 0.903 0.021
Na7 0.500 0.451 0.750
Na8 0.500 0.549 0.250
Na9 0.669 0.097 0.979
Na10 0.669 0.903 0.479
Na11 0.831 0.403 0.479
Na12 0.831 0.597 0.979
V1 0.000 0.198 0.750
V2 0.000 0.802 0.250
V3 0.500 0.302 0.250
V4 0.500 0.698 0.750
S1 0.192 0.358 0.500
S2 0.192 0.642 0.000
S3 0.308 0.142 0.000
S4 0.308 0.858 0.500
S5 0.692 0.142 0.500
S6 0.692 0.858 0.000
S7 0.808 0.358 0.000
S8 0.808 0.642 0.500
O1 0.052 0.301 0.551
O2 0.052 0.699 0.051
O3 0.143 0.440 0.375
O4 0.143 0.560 0.875
O5 0.211 0.208 0.880
O6 0.211 0.792 0.380
O7 0.234 0.110 0.185
O8 0.234 0.890 0.685
O9 0.266 0.390 0.685
O10 0.266 0.610 0.185
O11 0.289 0.292 0.380
O12 0.289 0.708 0.880
O13 0.357 0.060 0.875
O14 0.357 0.940 0.375
O15 0.448 0.199 0.051
O16 0.448 0.801 0.551
O17 0.552 0.199 0.449
O18 0.552 0.801 0.949
O19 0.643 0.060 0.625
O20 0.643 0.940 0.125
O21 0.711 0.292 0.120
O22 0.711 0.708 0.620
O23 0.734 0.390 0.815
O24 0.734 0.610 0.315
O25 0.766 0.110 0.315
O26 0.766 0.890 0.815
O27 0.789 0.208 0.620
O28 0.789 0.792 0.120
O29 0.857 0.440 0.125
O30 0.857 0.560 0.625
O31 0.948 0.301 0.949
O32 0.948 0.699 0.449
F1 0.069 0.096 0.574
F2 0.069 0.904 0.074
F3 0.431 0.404 0.074
F4 0.431 0.596 0.574
F5 0.569 0.404 0.426
F6 0.569 0.596 0.926
F7 0.931 0.096 0.926
F8 0.931 0.904 0.426

=====

Compound: NaPF6
Source: the Materials Project database
Functional: r2SCAN
Structure: relaxed

Output
M_tot: 0.00 μB per formula unit
space-group type: Fm-3m

Cell: 5.451 5.451 5.451 Å, 60.00 60.00 60.00°
Fractional positions:
Na1 0.000 0.000 0.000
P1 0.500 0.500 0.500
F1 0.291 0.291 0.709
F2 0.291 0.709 0.291
F3 0.291 0.709 0.709
F4 0.709 0.291 0.291
F5 0.709 0.291 0.709
F6 0.709 0.709 0.291

=====

Compound: Na3PaF8
Source: the Materials Project database
Functional: r2SCAN
Structure: relaxed

Output
M_tot: 0.00 μB per formula unit
space-group type: I4/mmm

Cell: 6.599 6.599 6.599 Å, 131.73 131.73 70.65°
Fractional positions:
Na1 0.000 0.000 0.000
Na2 0.250 0.750 0.500
Na3 0.750 0.250 0.500
Pa1 0.500 0.500 0.000
F1 0.145 0.145 0.527
F2 0.145 0.618 0.000
F3 0.382 0.382 0.527
F4 0.382 0.855 0.000
F5 0.618 0.145 0.000
F6 0.618 0.618 0.473
F7 0.855 0.382 0.000
F8 0.855 0.855 0.473

=====

Number 1: calculated total energy -0.5974 Ry per atom, formation energy -2198 meV per atom. Number 2: calculated total energy -0.5015 Ry per atom, formation energy -2907 meV per atom. Number 3: calculated total energy -0.9545 Ry per atom, formation energy -3607 meV per atom.